[1]
{"formula": "Cu3Pd2", "functional": "GGA-PBE", "state": "optimized geometry", "total_energy_ev_per_atom": -4.638, "volume_a3_per_atom": 13.25, "formation_enthalpy_0k_ev_per_atom": -0.106, "lattice_angstrom": [[2.980, 0.000, 0.000], [0.000, 2.980, 0.000], [0.000, 0.000, 14.921]], "species": ["Cu", "Cu", "Cu", "Cu", "Cu", "Cu", "Pd", "Pd", "Pd", "Pd"], "frac_coords": [[0.000, 0.000, 0.000], [0.000, 0.000, 0.202], [0.000, 0.000, 0.410], [0.000, 0.000, 0.590], [0.000, 0.000, 0.798], [0.500, 0.500, 0.500], [0.500, 0.500, 0.101], [0.500, 0.500, 0.306], [0.500, 0.500, 0.694], [0.500, 0.500, 0.899]]}


[2]
{"formula": "Pm2CuPd", "functional": "GGA-PBE", "state": "optimized geometry", "total_energy_ev_per_atom": -5.164, "volume_a3_per_atom": 23.02, "formation_enthalpy_0k_ev_per_atom": -0.469, "lattice_angstrom": [[0.000, 3.584, 3.584], [3.584, 0.000, 3.584], [3.584, 3.584, 0.000]], "species": ["Pm", "Pm", "Cu", "Pd"], "frac_coords": [[0.250, 0.250, 0.250], [0.750, 0.750, 0.750], [0.000, 0.000, 0.000], [0.500, 0.500, 0.500]]}


[3]
{"formula": "PrCu4Pd", "functional": "GGA-PBE", "state": "optimized geometry", "total_energy_ev_per_atom": -4.673, "volume_a3_per_atom": 16.40, "formation_enthalpy_0k_ev_per_atom": -0.280, "lattice_angstrom": [[5.181, 0.000, 0.000], [-2.591, 4.487, 0.000], [0.000, 0.000, 4.232]], "species": ["Pr", "Cu", "Cu", "Cu", "Cu", "Pd"], "frac_coords": [[0.000, 0.000, 0.000], [0.504, 0.008, 0.500], [0.504, 0.496, 0.500], [0.667, 0.333, 0.000], [0.992, 0.496, 0.500], [0.333, 0.667, 0.000]]}


[4]
{"formula": "RbCuPdSe5", "functional": "GGA-PBE", "state": "optimized geometry", "magnetic_moment_mub_per_cell": 0.00, "total_energy_ev_per_atom": -3.895, "volume_a3_per_atom": 26.83, "formation_enthalpy_0k_ev_per_atom": -0.723, "lattice_angstrom": [[6.380, 0.000, 0.000], [0.000, 7.424, 0.000], [-2.098, 0.000, 9.063]], "species": ["Rb", "Rb", "Cu", "Cu", "Pd", "Pd", "Se", "Se", "Se", "Se", "Se", "Se", "Se", "Se", "Se", "Se"], "frac_coords": [[0.246, 0.250, 0.449], [0.754, 0.750, 0.551], [0.390, 0.250, 0.891], [0.610, 0.750, 0.109], [0.000, 0.000, 0.000], [0.000, 0.500, 0.000], [0.186, 0.509, 0.791], [0.186, 0.991, 0.791], [0.201, 0.750, 0.385], [0.226, 0.750, 0.133], [0.455, 0.750, 0.848], [0.545, 0.250, 0.152], [0.774, 0.250, 0.867], [0.799, 0.250, 0.615], [0.814, 0.009, 0.209], [0.814, 0.491, 0.209]]}


[5]
{"formula": "ScCuPd2", "functional": "GGA-PBE", "state": "optimized geometry", "total_energy_ev_per_atom": -5.840, "volume_a3_per_atom": 15.70, "formation_enthalpy_0k_ev_per_atom": -0.642, "lattice_angstrom": [[0.000, 3.155, 3.155], [3.155, 0.000, 3.155], [3.155, 3.155, 0.000]], "species": ["Sc", "Cu", "Pd", "Pd"], "frac_coords": [[0.000, 0.000, 0.000], [0.500, 0.500, 0.500], [0.250, 0.250, 0.250], [0.750, 0.750, 0.750]]}


[6]
{"formula": "Sc2CuPd", "functional": "GGA-PBE", "state": "optimized geometry", "total_energy_ev_per_atom": -6.079, "volume_a3_per_atom": 17.80, "formation_enthalpy_0k_ev_per_atom": -0.593, "lattice_angstrom": [[0.000, 3.290, 3.290], [3.290, 0.000, 3.290], [3.290, 3.290, 0.000]], "species": ["Sc", "Sc", "Cu", "Pd"], "frac_coords": [[0.250, 0.250, 0.250], [0.750, 0.750, 0.750], [0.000, 0.000, 0.000], [0.500, 0.500, 0.500]]}


[7]
{"formula": "Cu2Sn2Pd", "functional": "GGA-PBE", "state": "optimized geometry", "magnetic_moment_mub_per_cell": 0.00, "total_energy_ev_per_atom": -4.379, "volume_a3_per_atom": 18.65, "formation_enthalpy_0k_ev_per_atom": -0.100, "lattice_angstrom": [[4.416, 0.000, 0.000], [-2.208, 3.824, 0.000], [0.000, 0.000, 5.522]], "species": ["Cu", "Cu", "Sn", "Sn", "Pd"], "frac_coords": [[0.333, 0.667, 0.202], [0.667, 0.333, 0.798], [0.333, 0.667, 0.704], [0.667, 0.333, 0.296], [0.000, 0.000, 0.000]]}


[8]
{"formula": "ThU4Cu20Pd5", "functional": "GGA-PBE", "state": "optimized geometry", "magnetic_moment_mub_per_cell": 2.60, "total_energy_ev_per_atom": -5.477, "volume_a3_per_atom": 14.76, "formation_enthalpy_0k_ev_per_atom": -0.129, "lattice_angstrom": [[2.505, 1.447, 20.366], [-2.505, 1.447, 20.366], [0.000, -2.893, 20.366]], "species": ["Th", "U", "U", "U", "U", "Cu", "Cu", "Cu", "Cu", "Cu", "Cu", "Cu", "Cu", "Cu", "Cu", "Cu", "Cu", "Cu", "Cu", "Cu", "Cu", "Cu", "Cu", "Cu", "Cu", "Pd", "Pd", "Pd", "Pd", "Pd"], "frac_coords": [[0.000, 0.000, 0.000], [0.200, 0.200, 0.200], [0.400, 0.400, 0.400], [0.600, 0.600, 0.600], [0.800, 0.800, 0.800], [0.024, 0.526, 0.526], [0.125, 0.125, 0.125], [0.127, 0.127, 0.618], [0.127, 0.618, 0.127], [0.222, 0.726, 0.726], [0.324, 0.324, 0.324], [0.326, 0.326, 0.823], [0.326, 0.823, 0.326], [0.422, 0.926, 0.926], [0.525, 0.525, 0.525], [0.526, 0.024, 0.526], [0.526, 0.526, 0.024], [0.618, 0.127, 0.127], [0.725, 0.725, 0.725], [0.726, 0.222, 0.726], [0.726, 0.726, 0.222], [0.823, 0.326, 0.326], [0.924, 0.924, 0.924], [0.926, 0.422, 0.926], [0.926, 0.926, 0.422], [0.051, 0.051, 0.051], [0.249, 0.249, 0.249], [0.450, 0.450, 0.450], [0.649, 0.649, 0.649], [0.850, 0.850, 0.850]]}